Entry 1:
A plane-wave DFT calculation with PBE-GGA was carried out for crystalline NdPbAu2 at its relaxed geometry.

Cell: 5.160 5.160 5.160 Å, 60.00 60.00 60.00°
Positions (direct):
Au (0.750, 0.750, 0.750)
Au (0.250, 0.250, 0.250)
Pb (0.000, 0.000, 0.000)
Nd (0.500, 0.500, 0.500)

For the electronic total energy, the calculation gives -4.370 eV/atom. Its symmetry is Fm-3m, No. 225.

Entry 2:
A plane-wave DFT calculation with PBE-GGA was carried out for crystalline NdSbAu at its relaxed geometry.

Cell: 4.670 4.670 16.518 Å, 90.00 90.00 120.00°
Positions (direct):
Au (0.667, 0.333, 0.160)
Au (0.333, 0.667, 0.660)
Au (0.667, 0.333, 0.340)
Au (0.333, 0.667, 0.840)
Nd (0.000, 0.000, 0.750)
Nd (0.000, 0.000, 0.500)
Nd (0.000, 0.000, 0.000)
Nd (0.000, 0.000, 0.250)
Sb (0.333, 0.667, 0.111)
Sb (0.333, 0.667, 0.389)
Sb (0.667, 0.333, 0.611)
Sb (0.667, 0.333, 0.889)

For the electronic total energy, the calculation gives -4.972 eV/atom. Its symmetry is P6_3/mmc, No. 194.

Entry 3:
A plane-wave DFT calculation with PBE-GGA was carried out for crystalline Nd5Si9Au at its relaxed geometry.

Cell: 4.171 4.241 35.613 Å, 86.59 86.64 90.00°
Positions (direct):
Nd (0.602, 0.602, 0.797)
Nd (0.401, 0.401, 0.199)
Nd (0.350, 0.850, 0.301)
Nd (0.800, 0.800, 0.400)
Nd (0.000, 0.000, 0.000)
Nd (0.751, 0.251, 0.498)
Nd (0.548, 0.048, 0.904)
Nd (0.202, 0.202, 0.595)
Nd (0.149, 0.649, 0.701)
Nd (0.951, 0.451, 0.099)
Si (0.516, 0.516, 0.967)
Si (0.833, 0.333, 0.334)
Si (0.718, 0.718, 0.564)
Si (0.283, 0.283, 0.434)
Si (0.634, 0.134, 0.732)
Si (0.117, 0.117, 0.766)
Si (0.467, 0.967, 0.065)
Si (0.667, 0.167, 0.666)
Si (0.234, 0.734, 0.532)
Si (0.267, 0.767, 0.465)
Si (0.316, 0.316, 0.367)
Si (0.434, 0.934, 0.132)
Si (0.917, 0.917, 0.165)
Si (0.483, 0.483, 0.033)
Si (0.066, 0.566, 0.868)
Si (0.884, 0.884, 0.233)
Si (0.033, 0.533, 0.934)
Si (0.867, 0.367, 0.266)
Au (0.083, 0.083, 0.835)
Au (0.684, 0.684, 0.633)

For the electronic total energy, the calculation gives -5.775 eV/atom. Its symmetry is Imm2, No. 44.

Entry 4:
A plane-wave DFT calculation with PBE-GGA was carried out for crystalline NdSnAu2 at its relaxed geometry.

Cell: 5.084 5.084 5.084 Å, 60.00 60.00 60.00°
Positions (direct):
Sn (0.000, 0.000, 0.000)
Au (0.750, 0.750, 0.750)
Au (0.250, 0.250, 0.250)
Nd (0.500, 0.500, 0.500)

For the electronic total energy, the calculation gives -4.525 eV/atom. Its symmetry is Fm-3m, No. 225.

Entry 5:
A plane-wave DFT calculation with PBE-GGA was carried out for crystalline NdZnAu2 at its relaxed geometry.

Cell: 4.959 4.959 4.959 Å, 60.00 60.00 60.00°
Positions (direct):
Nd (0.000, 0.000, 0.000)
Zn (0.500, 0.500, 0.500)
Au (0.750, 0.750, 0.750)
Au (0.250, 0.250, 0.250)

For the electronic total energy, the calculation gives -3.730 eV/atom. Its symmetry is Fm-3m, No. 225.

Entry 6:
A plane-wave DFT calculation with PBE-GGA was carried out for crystalline NiAu3 at its relaxed geometry.

Cell: 5.670 5.670 4.689 Å, 90.00 90.00 120.00°
Positions (direct):
Au (0.830, 0.660, 0.750)
Au (0.340, 0.170, 0.750)
Au (0.170, 0.830, 0.250)
Au (0.170, 0.340, 0.250)
Au (0.830, 0.170, 0.750)
Au (0.660, 0.830, 0.250)
Ni (0.333, 0.667, 0.750)
Ni (0.667, 0.333, 0.250)

For the electronic total energy, the calculation gives -3.812 eV/atom. Its symmetry is P6_3/mmc, No. 194.

Entry 7:
A plane-wave DFT calculation with PBE-GGA was carried out for crystalline NiAu3 at its relaxed geometry.

Cell: 4.028 4.028 4.028 Å, 90.00 90.00 90.00°
Positions (direct):
Au (0.500, 0.000, 0.500)
Au (0.500, 0.500, 0.000)
Au (0.000, 0.500, 0.500)
Ni (0.000, 0.000, 0.000)

For the electronic total energy, the calculation gives -3.812 eV/atom. Its symmetry is Pm-3m, No. 221.

Entry 8:
A plane-wave DFT calculation with PBE-GGA was carried out for crystalline ScNi4Au at its relaxed geometry.

Cell: 4.825 4.825 4.825 Å, 60.00 60.00 60.00°
Positions (direct):
Au (0.750, 0.750, 0.750)
Ni (0.874, 0.375, 0.375)
Ni (0.375, 0.375, 0.375)
Ni (0.375, 0.375, 0.874)
Ni (0.375, 0.874, 0.375)
Sc (0.000, 0.000, 0.000)

For the electronic total energy, the calculation gives -5.855 eV/atom. Its symmetry is F-43m, No. 216.

Entry 9:
A plane-wave DFT calculation with PBE-GGA was carried out for crystalline Si7Ni4Au2 at its relaxed geometry.

Cell: 6.704 6.704 7.997 Å, 70.97 70.97 32.81°
Positions (direct):
Si (0.495, 0.495, 0.335)
Si (0.846, 0.846, 0.758)
Si (0.154, 0.154, 0.242)
Si (0.505, 0.505, 0.665)
Si (0.165, 0.165, 0.576)
Si (0.835, 0.835, 0.424)
Si (0.500, 0.500, 0.000)
Au (0.806, 0.806, 0.093)
Au (0.194, 0.194, 0.907)
Ni (0.995, 0.995, 0.168)
Ni (0.005, 0.005, 0.832)
Ni (0.655, 0.655, 0.412)
Ni (0.345, 0.345, 0.588)

For the electronic total energy, the calculation gives -5.536 eV/atom. Its symmetry is C2/m, No. 12.

Entry 10:
A plane-wave DFT calculation with PBE-GGA was carried out for crystalline Ni2Sn4Au at its relaxed geometry.

Cell: 9.334 9.334 9.334 Å, 26.51 26.51 26.51°
Positions (direct):
Sn (0.300, 0.300, 0.300)
Sn (0.889, 0.889, 0.889)
Sn (0.700, 0.700, 0.700)
Sn (0.111, 0.111, 0.111)
Au (0.500, 0.500, 0.500)
Ni (0.599, 0.599, 0.599)
Ni (0.401, 0.401, 0.401)

For the electronic total energy, the calculation gives -4.624 eV/atom. Its symmetry is R-3m, No. 166.

Entry 11:
A plane-wave DFT calculation with PBE-GGA was carried out for crystalline TbNi4Au at its relaxed geometry.

Cell: 4.943 4.943 4.943 Å, 60.00 60.00 60.00°
Positions (direct):
Au (0.750, 0.750, 0.750)
Ni (0.875, 0.375, 0.375)
Ni (0.375, 0.375, 0.375)
Ni (0.375, 0.375, 0.875)
Ni (0.375, 0.875, 0.375)
Tb (0.000, 0.000, 0.000)

For the electronic total energy, the calculation gives -5.551 eV/atom. Its symmetry is F-43m, No. 216.

Entry 12:
A plane-wave DFT calculation with PBE-GGA was carried out for crystalline NpAu3 at its relaxed geometry.

Cell: 4.936 4.936 4.936 Å, 60.00 60.00 60.00°
Positions (direct):
Au (0.750, 0.750, 0.750)
Au (0.500, 0.500, 0.500)
Au (0.250, 0.250, 0.250)
Np (0.000, 0.000, 0.000)

For the electronic total energy, the calculation gives -5.873 eV/atom. Its symmetry is Fm-3m, No. 225.

Entry 13:
A plane-wave DFT calculation with PBE-GGA was carried out for crystalline NpSi2Au2 at its relaxed geometry.

Cell: 4.202 4.202 6.018 Å, 110.43 110.43 90.00°
Positions (direct):
Si (0.391, 0.391, 0.783)
Si (0.609, 0.609, 0.217)
Au (0.750, 0.250, 0.500)
Au (0.250, 0.750, 0.500)
Np (0.000, 0.000, 0.000)

For the electronic total energy, the calculation gives -6.317 eV/atom. Its symmetry is I4/mmm, No. 139.

Entry 14:
A plane-wave DFT calculation with PBE-GGA was carried out for crystalline Au2O3 at its relaxed geometry.

Cell: 8.424 6.831 5.704 Å, 83.94 53.74 42.32°
Positions (direct):
O (0.025, 0.805, 0.445)
O (0.811, 0.521, 0.215)
O (0.049, 0.944, 0.953)
O (0.744, 0.423, 0.794)
O (0.443, 0.219, 0.513)
O (0.306, 0.195, 0.202)
Au (0.570, 0.335, 0.156)
Au (0.078, 0.333, 0.681)
Au (0.918, 0.177, 0.353)
Au (0.916, 0.678, 0.311)

For the electronic total energy, the calculation gives -4.298 eV/atom. Its symmetry is P1, No. 1.

Entry 15:
A plane-wave DFT calculation with PBE-GGA was carried out for crystalline Au3O at its relaxed geometry.

Cell: 7.458 7.458 2.935 Å, 90.00 90.00 120.00°
Positions (direct):
O (0.667, 0.333, 0.250)
O (0.333, 0.667, 0.750)
Au (0.187, 0.373, 0.250)
Au (0.813, 0.627, 0.750)
Au (0.187, 0.813, 0.250)
Au (0.813, 0.187, 0.750)
Au (0.627, 0.813, 0.250)
Au (0.373, 0.187, 0.750)

For the electronic total energy, the calculation gives -3.324 eV/atom. Its symmetry is P6_3/mmc, No. 194.

Entry 16:
A plane-wave DFT calculation with PBE-GGA was carried out for crystalline Au2O3 at its relaxed geometry.

Cell: 8.424 6.831 5.704 Å, 83.94 53.74 42.32°
Positions (direct):
O (0.230, 0.934, 0.305)
O (0.945, 0.719, 0.020)
O (0.805, 0.695, 0.695)
O (0.555, 0.445, 0.445)
O (0.316, 0.020, 0.719)
O (0.531, 0.305, 0.934)
Au (0.408, 0.184, 0.824)
Au (0.066, 0.842, 0.666)
Au (0.426, 0.666, 0.842)
Au (0.584, 0.824, 0.184)

For the electronic total energy, the calculation gives -4.324 eV/atom. As for the largest piezoelectric modulus: 0.5 C/m2. Its symmetry is Fdd2, No. 43.

Entry 17:
A plane-wave DFT calculation with PBE-GGA was carried out for crystalline PAuO4 at its relaxed geometry.

Cell: 4.932 4.932 7.919 Å, 84.36 84.36 71.10°
Positions (direct):
O (0.907, 0.765, 0.288)
O (0.798, 0.257, 0.406)
O (0.765, 0.907, 0.788)
O (0.202, 0.743, 0.594)
O (0.257, 0.798, 0.906)
O (0.235, 0.093, 0.212)
O (0.743, 0.202, 0.094)
O (0.093, 0.235, 0.712)
P (0.074, 0.926, 0.750)
P (0.926, 0.074, 0.250)
Au (0.500, 0.000, 0.000)
Au (0.000, 0.500, 0.500)

For the electronic total energy, the calculation gives -6.048 eV/atom. Its excess energy over the best structure of this formula in the dataset is 0.04 eV per formula unit. Its symmetry is C2/c, No. 15.

Entry 18:
A plane-wave DFT calculation with PBE-GGA was carried out for crystalline PAuO4 at its relaxed geometry.

Cell: 4.945 4.945 7.778 Å, 82.95 82.95 76.66°
Positions (direct):
O (0.767, 0.890, 0.790)
O (0.804, 0.237, 0.411)
O (0.233, 0.110, 0.210)
O (0.890, 0.767, 0.290)
O (0.763, 0.196, 0.089)
O (0.110, 0.233, 0.710)
O (0.196, 0.763, 0.589)
O (0.237, 0.804, 0.911)
P (0.927, 0.073, 0.250)
P (0.073, 0.927, 0.750)
Au (0.000, 0.500, 0.500)
Au (0.500, 0.000, 0.000)

For the electronic total energy, the calculation gives -6.055 eV/atom. Its excess energy over the best structure of this formula in the dataset is 0.00 eV per formula unit. Its symmetry is C2/c, No. 15.

Entry 19:
A plane-wave DFT calculation with PBE-GGA was carried out for crystalline PbAuO2 at its relaxed geometry.

Cell: 6.605 6.605 6.605 Å, 33.00 33.00 33.00°
Positions (direct):
O (0.107, 0.107, 0.107)
O (0.893, 0.893, 0.893)
Au (0.000, 0.000, 0.000)
Pb (0.500, 0.500, 0.500)

For the electronic total energy, the calculation gives -4.827 eV/atom. Its symmetry is R-3m, No. 166.

Entry 20:
A plane-wave DFT calculation with PBE-GGA was carried out for crystalline PbAuO3 at its relaxed geometry.

Cell: 4.149 4.149 4.149 Å, 90.00 90.00 90.00°
Positions (direct):
O (0.500, 0.000, 0.500)
O (0.000, 0.500, 0.500)
O (0.500, 0.500, 0.000)
Pb (0.000, 0.000, 0.000)
Au (0.500, 0.500, 0.500)

For the electronic total energy, the calculation gives -4.557 eV/atom. Its symmetry is Pm-3m, No. 221.

Calculated values (eV per atom) of ΔE_f for the records, taken in order: -0.6132, -0.9148, -0.7127, -0.6937, -0.5863, 0.0888, 0.0889, -0.4007, -0.3327, -0.2132, -0.3799, -0.1803, -0.2480, -0.4317, 0.1965, -0.4579, -1.7592, -1.7664, -0.9500, -0.6029.